1.
VASP calculation (PBE) on crystalline Os3C8S2O8 at its relaxed geometry.

Symmetry ... P2_1/c
E_tot ... -1350.33 eV per cell
ΔE_f ... -92 kJ/mol of atoms
Spin magnetization ... 0.000 μB per atom

abc: 12.2761 14.0346 18.4016
angles: 73.58 90.00 90.00
Closest atoms and distances in Å follow each position.
Positions (direct):
Os: 0.2920 0.0626 0.1936  3 C 1.90-1.92
Os: 0.2894 0.0458 0.8055  3 C 1.89-1.94
Os: 0.7106 0.9542 0.1945  3 C 1.89-1.94
Os: 0.7920 0.4374 0.3064  3 C 1.90-1.92
Os: 0.2080 0.5626 0.6936  3 C 1.90-1.92
Os: 0.5383 0.0859 0.2009  2 C 1.89
Os: 0.8004 0.7269 0.9613  3 C 1.89-1.93
Os: 0.7894 0.4542 0.6945  3 C 1.89-1.94
Os: 0.0383 0.4141 0.2991  2 C 1.89
Os: 0.9125 0.2567 0.3991  2 C 1.89
Os: 0.2106 0.5458 0.3055  3 C 1.89-1.94
Os: 0.5875 0.7567 0.8991  2 C 1.89
Os: 0.8748 0.6779 0.5441  3 C 1.91-1.92
Os: 0.1996 0.2731 0.0387  3 C 1.89-1.93
Os: 0.6996 0.2269 0.4613  3 C 1.89-1.93
Os: 0.4125 0.2433 0.1009  2 C 1.89
Os: 0.1252 0.3221 0.4559  3 C 1.91-1.92
Os: 0.3748 0.8221 0.9559  3 C 1.91-1.92
Os: 0.3004 0.7731 0.5387  3 C 1.89-1.93
Os: 0.9617 0.5859 0.7009  2 C 1.89
Os: 0.7080 0.9374 0.8064  3 C 1.90-1.92
Os: 0.6252 0.1779 0.0441  3 C 1.91-1.92
Os: 0.4617 0.9141 0.7991  2 C 1.89
Os: 0.0875 0.7433 0.6009  2 C 1.89
C: 0.1492 0.4041 0.0366  1 O 1.16
C: 0.3328 0.6854 0.9774  1 O 1.16
C: 0.9445 0.7754 0.9578  1 O 1.16
C: 0.3032 0.5622 0.2183  1 O 1.16
C: 0.7385 0.1420 0.9860  1 O 1.16
C: 0.5280 0.2070 0.9588  1 O 1.16
C: 0.3233 0.5799 0.3636  1 O 1.16
C: 0.1569 0.4311 0.6995  1 O 1.16
C: 0.2897 0.8005 0.4310  1 O 1.16
C: 0.4720 0.7930 0.0412  1 O 1.16
C: 0.4659 0.0252 0.7128  1 O 1.18
C: 0.4138 0.3533 0.0137  1 O 1.17
C: 0.8032 0.9378 0.2817  1 O 1.16
C: 0.4861 0.8397 0.7295  1 O 1.17
C: 0.5862 0.6467 0.9863  1 O 1.17
C: 0.2615 0.8580 0.0140  1 O 1.16
C: 0.8431 0.5689 0.3005  1 O 1.16
C: 0.4445 0.7246 0.5422  1 O 1.16
C: 0.4866 0.3280 0.1480  1 O 1.17
C: 0.7615 0.6420 0.4860  1 O 1.16
C: 0.0862 0.8533 0.5137  1 O 1.17
C: 0.0341 0.5252 0.2128  1 O 1.18
C: 0.0555 0.2246 0.0422  1 O 1.16
C: 0.7897 0.6995 0.0690  1 O 1.16
C: 0.8508 0.5959 0.9634  1 O 1.16
C: 0.7039 0.9551 0.6997  1 O 1.16
C: 0.8328 0.8146 0.5226  1 O 1.16
C: 0.5139 0.1603 0.2705  1 O 1.17
C: 0.2961 0.0449 0.3003  1 O 1.16
C: 0.2103 0.3005 0.9310  1 O 1.16
C: 0.3508 0.9041 0.5366  1 O 1.16
C: 0.6672 0.3146 0.0226  1 O 1.16
C: 0.2039 0.5449 0.8003  1 O 1.16
C: 0.1557 0.6801 0.2685  1 O 1.16
C: 0.5341 0.9748 0.2872  1 O 1.18
C: 0.0139 0.3397 0.2295  1 O 1.17
C: 0.8443 0.3199 0.7315  1 O 1.16
C: 0.9659 0.4748 0.7872  1 O 1.18
C: 0.3431 0.9311 0.1995  1 O 1.16
C: 0.6767 0.4201 0.6364  1 O 1.16
C: 0.7961 0.4551 0.1997  1 O 1.16
C: 0.1767 0.0799 0.8636  1 O 1.16
C: 0.9720 0.7070 0.4588  1 O 1.16
C: 0.1672 0.1854 0.4774  1 O 1.16
C: 0.6430 0.4738 0.3077  1 O 1.16
C: 0.5134 0.6720 0.8520  1 O 1.17
C: 0.3443 0.1801 0.7685  1 O 1.16
C: 0.1968 0.0622 0.7183  1 O 1.16
C: 0.0280 0.2930 0.5412  1 O 1.16
C: 0.9861 0.6603 0.7705  1 O 1.17
C: 0.9138 0.1467 0.4863  1 O 1.17
C: 0.8570 0.9738 0.8077  1 O 1.16
C: 0.7103 0.1995 0.5690  1 O 1.16
C: 0.0134 0.8280 0.6480  1 O 1.17
C: 0.2385 0.3580 0.5140  1 O 1.16
C: 0.6569 0.0689 0.8005  1 O 1.16
C: 0.6557 0.8199 0.2315  1 O 1.16
C: 0.1430 0.0262 0.1923  1 O 1.16
C: 0.8233 0.9201 0.1364  1 O 1.16
C: 0.6492 0.0959 0.4634  1 O 1.16
C: 0.3570 0.5262 0.6923  1 O 1.16
C: 0.5555 0.2754 0.4578  1 O 1.16
C: 0.6968 0.4378 0.7817  1 O 1.16
C: 0.9866 0.1720 0.3520  1 O 1.17
S: 0.6925 0.8775 0.9449  3 Os 2.44-2.46
S: 0.2786 0.8679 0.8351  3 Os 2.38-2.44
S: 0.7492 0.2624 0.3301  3 Os 2.36-2.43
S: 0.8075 0.3775 0.4449  3 Os 2.44-2.46
S: 0.7508 0.7624 0.8301  3 Os 2.36-2.43
S: 0.9334 0.5057 0.6002  3 Os 2.44-2.45
S: 0.0666 0.4943 0.3998  3 Os 2.44-2.45
S: 0.7786 0.6321 0.6649  3 Os 2.38-2.44
S: 0.2508 0.7376 0.6699  3 Os 2.36-2.43
S: 0.7214 0.1321 0.1649  3 Os 2.38-2.44
S: 0.2214 0.3679 0.3351  3 Os 2.38-2.44
S: 0.1925 0.6225 0.5551  3 Os 2.44-2.46
S: 0.4334 0.9943 0.8998  3 Os 2.44-2.45
S: 0.5666 0.0057 0.1002  3 Os 2.44-2.45
S: 0.3075 0.1225 0.0551  3 Os 2.44-2.46
S: 0.2492 0.2376 0.1699  3 Os 2.36-2.43
O: 0.6400 0.4282 0.8338  1 C 1.16
O: 0.7979 0.4606 0.1356  1 C 1.16
O: 0.8837 0.5191 0.9619  1 C 1.16
O: 0.5208 0.9117 0.3440  1 C 1.18
O: 0.1970 0.8794 0.0528  1 C 1.16
O: 0.2194 0.3129 0.8662  1 C 1.16
O: 0.8775 0.2399 0.7559  1 C 1.16
O: 0.9275 0.0782 0.5393  1 C 1.17
O: 0.4694 0.6159 0.8257  1 C 1.17
O: 0.2806 0.8129 0.3662  1 C 1.16
O: 0.9694 0.8841 0.6743  1 C 1.17
O: 0.9675 0.1931 0.0466  1 C 1.16
O: 0.3030 0.3794 0.5528  1 C 1.16
O: 0.1944 0.1031 0.4896  1 C 1.16
O: 0.8030 0.1206 0.9472  1 C 1.16
O: 0.9743 0.2733 0.5955  1 C 1.16
O: 0.1312 0.3505 0.7023  1 C 1.16
O: 0.3688 0.8505 0.2023  1 C 1.16
O: 0.4933 0.1991 0.3174  1 C 1.17
O: 0.1163 0.4809 0.0381  1 C 1.16
O: 0.4480 0.5048 0.6905  1 C 1.16
O: 0.3600 0.5718 0.1662  1 C 1.16
O: 0.5325 0.6931 0.5466  1 C 1.16
O: 0.7021 0.9606 0.6356  1 C 1.16
O: 0.6076 0.4010 0.5996  1 C 1.16
O: 0.8600 0.9282 0.3338  1 C 1.16
O: 0.5520 0.4952 0.3095  1 C 1.16
O: 0.0520 0.0048 0.1905  1 C 1.16
O: 0.0325 0.8069 0.9534  1 C 1.16
O: 0.6944 0.3969 0.0104  1 C 1.16
O: 0.3056 0.6031 0.9896  1 C 1.16
O: 0.3775 0.2601 0.7441  1 C 1.16
O: 0.2021 0.5394 0.8644  1 C 1.16
O: 0.4675 0.3069 0.4534  1 C 1.16
O: 0.4743 0.2267 0.9045  1 C 1.16
O: 0.5257 0.7733 0.0955  1 C 1.16
O: 0.0067 0.6991 0.8174  1 C 1.17
O: 0.7806 0.6871 0.1338  1 C 1.16
O: 0.9792 0.4117 0.8440  1 C 1.18
O: 0.1225 0.7601 0.2441  1 C 1.16
O: 0.7194 0.1871 0.6338  1 C 1.16
O: 0.0725 0.9218 0.4607  1 C 1.17
O: 0.6970 0.6206 0.4472  1 C 1.16
O: 0.9933 0.3009 0.1826  1 C 1.17
O: 0.5725 0.5782 0.0393  1 C 1.17
O: 0.4792 0.0883 0.6560  1 C 1.18
O: 0.8924 0.9010 0.0996  1 C 1.16
O: 0.2979 0.0394 0.3644  1 C 1.16
O: 0.8688 0.6495 0.2977  1 C 1.16
O: 0.9480 0.9952 0.8095  1 C 1.16
O: 0.3924 0.5990 0.4004  1 C 1.16
O: 0.6312 0.1495 0.7977  1 C 1.16
O: 0.1076 0.0990 0.9004  1 C 1.16
O: 0.3837 0.9809 0.5381  1 C 1.16
O: 0.6163 0.0191 0.4619  1 C 1.16
O: 0.0208 0.5883 0.1560  1 C 1.18
O: 0.6225 0.7399 0.2559  1 C 1.16
O: 0.1400 0.0718 0.6662  1 C 1.16
O: 0.5067 0.8009 0.6826  1 C 1.17
O: 0.5306 0.3841 0.1743  1 C 1.17
O: 0.8056 0.8969 0.5104  1 C 1.16
O: 0.4275 0.4218 0.9607  1 C 1.17
O: 0.0257 0.7267 0.4045  1 C 1.16
O: 0.0306 0.1159 0.3257  1 C 1.17

2.
VASP calculation (PBE) on crystalline ErHS2O8 at its relaxed geometry.

Symmetry ... P2_1/c
E_tot ... -312.87 eV per cell
ΔE_f ... -224 kJ/mol of atoms
Spin magnetization ... 0.000 μB per atom

abc: 10.8694 5.5080 10.6617
angles: 74.58 90.00 90.00
Closest atoms and distances in Å follow each position.
Positions (direct):
Er: 0.1671 0.2642 0.8478  7 O 2.26-2.35
Er: 0.6671 0.7358 0.6522  7 O 2.26-2.35
Er: 0.3329 0.2642 0.3478  7 O 2.26-2.35
Er: 0.8329 0.7358 0.1522  7 O 2.26-2.35
H: 0.0238 0.8492 0.3955  1 O 1.00
H: 0.5238 0.1508 0.1045  1 O 1.00
H: 0.4762 0.8492 0.8955  1 O 1.00
H: 0.9762 0.1508 0.6045  1 O 1.00
S: 0.6824 0.3236 0.9947  4 O 1.45-1.57
S: 0.1824 0.6764 0.5053  4 O 1.45-1.57
S: 0.5454 0.7898 0.3197  4 O 1.47-1.52
S: 0.9546 0.7898 0.8197  4 O 1.47-1.52
S: 0.0454 0.2102 0.1803  4 O 1.47-1.52
S: 0.4546 0.2102 0.6803  4 O 1.47-1.52
S: 0.8176 0.3236 0.4947  4 O 1.45-1.57
S: 0.3176 0.6764 0.0053  4 O 1.45-1.57
O: 0.7887 0.4477 0.5972  1 S 1.47
O: 0.5095 0.4472 0.6913  1 S 1.47
O: 0.1853 0.5023 0.6344  1 S 1.45
O: 0.6853 0.4977 0.8656  1 S 1.45
O: 0.0095 0.5528 0.8087  1 S 1.47
O: 0.6546 0.8532 0.2348  1 S 1.48
O: 0.5750 0.7759 0.4563  1 S 1.47
O: 0.0439 0.7598 0.4877  1 H 1.00
O: 0.2887 0.5523 0.9028  1 S 1.47
O: 0.7593 0.1026 0.0032  1 S 1.46
O: 0.9554 0.9957 0.2301  1 S 1.52
O: 0.4554 0.0043 0.2699  1 S 1.52
O: 0.2593 0.8974 0.4968  1 S 1.46
O: 0.8454 0.8532 0.7348  1 S 1.48
O: 0.5439 0.2402 0.0123  1 H 1.00
O: 0.0750 0.2241 0.0437  1 S 1.47
O: 0.9250 0.7759 0.9563  1 S 1.47
O: 0.4561 0.7598 0.9877  1 H 1.00
O: 0.1546 0.1468 0.2652  1 S 1.48
O: 0.7407 0.1026 0.5032  1 S 1.46
O: 0.5446 0.9957 0.7301  1 S 1.52
O: 0.0446 0.0043 0.7699  1 S 1.52
O: 0.2407 0.8974 0.9968  1 S 1.46
O: 0.7113 0.4477 0.0972  1 S 1.47
O: 0.9561 0.2402 0.5123  1 H 1.00
O: 0.4250 0.2241 0.5437  1 S 1.47
O: 0.3454 0.1468 0.7652  1 S 1.48
O: 0.9905 0.4472 0.1913  1 S 1.47
O: 0.3147 0.5023 0.1344  1 S 1.45
O: 0.8147 0.4977 0.3656  1 S 1.45
O: 0.4905 0.5528 0.3087  1 S 1.47
O: 0.2113 0.5523 0.4028  1 S 1.47